{
  "formula": "LiNb3Bi4O14",
  "functional": "PBE-GGA",
  "state": "optimized geometry",
  "energy_corrected_mp2020_ev_per_atom": -7.750,
  "final_energy_ev_per_atom": -7.313,
  "lattice_angstrom": [[4.095, -6.497, -0.477], [6.641, 0.032, -3.887], [7.853, 1.763, 9.239]],
  "species": ["O", "O", "O", "O", "O", "O", "O", "O", "O", "O", "O", "O", "O", "O", "O", "O", "O", "O", "O", "O", "O", "O", "O", "O", "O", "O", "O", "O", "Nb", "Nb", "Nb", "Nb", "Nb", "Nb", "Bi", "Bi", "Bi", "Bi", "Bi", "Bi", "Bi", "Bi", "Li", "Li"],
  "fractional_positions": [[0.441, 0.151, 0.217], [0.559, 0.227, 0.781], [0.148, 0.860, 0.084], [0.773, 0.441, 0.719], [0.849, 0.559, 0.283], [0.140, 0.852, 0.416], [0.851, 0.556, 0.913], [0.852, 0.140, 0.916], [0.444, 0.149, 0.587], [0.615, 0.423, 0.089], [0.848, 0.732, 0.586], [0.268, 0.152, 0.914], [0.151, 0.441, 0.717], [0.227, 0.559, 0.281], [0.076, 0.147, 0.229], [0.924, 0.853, 0.771], [0.853, 0.924, 0.271], [0.577, 0.385, 0.411], [0.423, 0.615, 0.589], [0.860, 0.148, 0.584], [0.732, 0.848, 0.086], [0.385, 0.577, 0.911], [0.441, 0.773, 0.219], [0.559, 0.849, 0.783], [0.556, 0.851, 0.413], [0.152, 0.268, 0.414], [0.147, 0.076, 0.729], [0.149, 0.444, 0.087], [0.621, 0.874, 0.240], [0.379, 0.126, 0.760], [0.871, 0.129, 0.750], [0.129, 0.871, 0.250], [0.874, 0.621, 0.740], [0.126, 0.379, 0.260], [0.493, 0.276, 0.006], [0.976, 0.258, 0.023], [0.742, 0.024, 0.477], [0.024, 0.742, 0.977], [0.276, 0.493, 0.506], [0.507, 0.724, 0.994], [0.258, 0.976, 0.523], [0.724, 0.507, 0.494], [0.467, 0.533, 0.750], [0.533, 0.467, 0.250]]
}



{
  "formula": "Te2Au",
  "functional": "PBE-GGA",
  "state": "optimized geometry",
  "final_energy_ev_per_atom": -3.259,
  "lattice_angstrom": [[0.003, -4.034, -1.267], [3.298, -2.472, 0.945], [-2.294, -1.393, 4.403]],
  "species": ["Te", "Te", "Au"],
  "fractional_positions": [[0.323, 0.323, 0.290], [0.677, 0.677, 0.710], [0.000, 0.000, 0.000]]
}



{
  "formula": "Ba2Cu3P4",
  "functional": "PBE-GGA",
  "state": "optimized geometry",
  "final_energy_ev_per_atom": -4.792,
  "lattice_angstrom": [[-3.107, 4.689, 6.224], [3.107, -4.689, 6.224], [3.107, 4.689, -6.224]],
  "species": ["Cu", "Cu", "Cu", "Cu", "Cu", "Cu", "P", "P", "P", "P", "P", "P", "P", "P", "Ba", "Ba", "Ba", "Ba"],
  "fractional_positions": [[0.721, 0.471, 0.750], [0.500, 0.250, 0.750], [0.279, 0.029, 0.750], [0.721, 0.971, 0.250], [0.500, 0.750, 0.250], [0.279, 0.529, 0.250], [0.246, 0.378, 0.868], [0.708, 0.840, 0.868], [0.292, 0.160, 0.132], [0.027, 0.660, 0.368], [0.489, 0.122, 0.368], [0.973, 0.340, 0.632], [0.511, 0.878, 0.632], [0.754, 0.622, 0.132], [0.095, 0.891, 0.204], [0.313, 0.609, 0.704], [0.687, 0.391, 0.296], [0.905, 0.109, 0.796]]
}



Q: Which calculated formation energy values were calculated for the entries above? A: -2.430, -0.072, -0.593, in eV per atom.